Record 1
VASP calculation (PBE-GGA) on a relaxed structure of CaMg2.

Structure (extended XYZ):
```
12
Lattice="-3.1323 -5.4253 0.0000 -3.1323 5.4253 0.0000 0.0000 0.0000 -10.0074" Properties=species:S:1:pos:R:3 pbc="T T T"
Ca -3.1323 1.8084 -5.6239
Ca -3.1323 -1.8084 -0.6202
Ca -3.1323 -1.8084 -4.3836
Ca -3.1323 1.8084 -9.3873
Mg -4.6776 0.9163 -2.5019
Mg -3.1323 -3.5928 -7.5056
Mg -4.6776 -0.9163 -7.5056
Mg -1.5870 0.9163 -2.5019
Mg 0.0000 0.0000 0.0000
Mg 0.0000 0.0000 -5.0037
Mg -1.5870 -0.9163 -7.5056
Mg -3.1323 3.5928 -2.5019
```

Computed properties:
DFT total energy	-1.842	eV/atom
energy of formation	-0.11	eV/atom

Record 2
VASP calculation (PBE-GGA) on a relaxed structure of CaMg2.

Structure (extended XYZ):
```
6
Lattice="-6.4245 -1.9185 1.0836 -4.5985 -4.8856 1.0551 -0.6864 -0.4958 7.6435" Properties=species:S:1:pos:R:3 pbc="T T T"
Ca -5.9037 -3.6600 2.7996
Ca -5.8057 -3.6398 6.9827
Mg -8.9265 -5.5199 2.7567
Mg -2.0798 -1.3171 3.8747
Mg -9.6296 -5.9828 5.9076
Mg -2.7828 -1.7800 7.0256
```

Computed properties:
DFT total energy	-1.778	eV/atom
energy of formation	-0.04	eV/atom

Record 3
VASP calculation (PBE-GGA) on a relaxed structure of CaMg2.

Structure (extended XYZ):
```
6
Lattice="-1.5388 4.7171 3.3817 -4.2295 -3.1190 -2.9047 -0.5591 -3.3277 4.3873" Properties=species:S:1:pos:R:3 pbc="T T T"
Ca -3.6122 -2.1708 1.3844
Ca -2.7153 0.4412 3.4799
Mg -1.0642 3.2620 2.3386
Mg -2.9249 -2.1569 -2.0087
Mg -1.7793 0.4929 0.1471
Mg -0.2796 -1.6638 2.1936
```

Computed properties:
DFT total energy	-1.722	eV/atom
energy of formation	0.01	eV/atom

Record 4
VASP calculation (PBE-GGA) on a relaxed structure of CaMg2.

Structure (extended XYZ):
```
6
Lattice="1.7225 -2.9835 0.0000 1.7225 2.9835 0.0000 0.0000 0.0000 16.8873" Properties=species:S:1:pos:R:3 pbc="T T T"
Ca 1.7225 -0.9945 1.6139
Ca 1.7225 0.9945 15.2734
Mg 1.7225 0.9945 4.4918
Mg 1.7225 -0.9945 7.1267
Mg 1.7225 0.9945 9.7606
Mg 1.7225 -0.9945 12.3955
```

Computed properties:
DFT total energy	-1.631	eV/atom
energy of formation	0.10	eV/atom

Record 5
VASP calculation (PBE-GGA) on a relaxed structure of CaMg3.

Structure (extended XYZ):
```
4
Lattice="5.0162 1.2117 3.8895 -0.6542 -1.5685 6.2346 0.3091 -1.7814 -6.2040" Properties=species:S:1:pos:R:3 pbc="T T T"
Ca 1.7952 -0.1920 -0.7802
Mg 3.9421 -0.3668 4.2966
Mg 1.3746 -1.8685 -3.7228
Mg 3.5996 -2.0505 1.4415
```

Computed properties:
DFT total energy	-1.664	eV/atom
energy of formation	0.04	eV/atom

Record 6
VASP calculation (PBE-GGA) on a relaxed structure of CaMg.

Structure (extended XYZ):
```
12
Lattice="5.5879 0.0000 0.0000 0.0000 3.8943 0.0000 0.0000 0.0000 17.7749" Properties=species:S:1:pos:R:3 pbc="T T T"
Ca 0.0000 1.9471 9.2102
Ca 0.0000 0.0000 5.7314
Ca 2.7940 1.9471 6.8711
Ca 0.0000 0.0000 0.3228
Ca 0.0000 1.9471 14.6188
Ca 2.7940 0.0000 15.7585
Mg 0.0000 1.9471 3.0114
Mg 2.7940 1.9471 1.1255
Mg 2.7940 0.0000 3.6751
Mg 0.0000 0.0000 11.8988
Mg 2.7940 0.0000 10.0130
Mg 2.7940 1.9471 12.5626
```

Computed properties:
DFT total energy	-1.765	eV/atom
energy of formation	0.04	eV/atom